# 1
{
  "formula": "GdAl7Au3",
  "functional": "meta-GGA r2SCAN",
  "state": "optimized geometry",
  "crystal_system": "trigonal",
  "lattice_angstrom": [[4.033, 2.328, 6.993], [-4.033, 2.328, 6.993], [0.000, -4.657, 6.993]],
  "species": ["Gd", "Gd", "Al", "Al", "Al", "Al", "Al", "Al", "Al", "Al", "Al", "Al", "Al", "Al", "Al", "Al", "Au", "Au", "Au", "Au", "Au", "Au"],
  "frac_coords": [[0.000, 0.000, 0.000], [0.500, 0.500, 0.500], [0.068, 0.853, 0.669], [0.147, 0.331, 0.932], [0.169, 0.353, 0.568], [0.250, 0.250, 0.250], [0.331, 0.932, 0.147], [0.353, 0.568, 0.169], [0.432, 0.831, 0.647], [0.568, 0.169, 0.353], [0.647, 0.432, 0.831], [0.669, 0.068, 0.853], [0.750, 0.750, 0.750], [0.831, 0.647, 0.432], [0.853, 0.669, 0.068], [0.932, 0.147, 0.331], [0.073, 0.750, 0.427], [0.250, 0.573, 0.927], [0.427, 0.073, 0.750], [0.573, 0.927, 0.250], [0.750, 0.427, 0.073], [0.927, 0.250, 0.573]]
}

# 2
{
  "formula": "Y2TiZnO6",
  "functional": "meta-GGA r2SCAN",
  "state": "optimized geometry",
  "crystal_system": "cubic",
  "lattice_angstrom": [[0.000, 3.857, 3.857], [3.857, 0.000, 3.857], [3.857, 3.857, 0.000]],
  "species": ["Y", "Y", "Ti", "Zn", "O", "O", "O", "O", "O", "O"],
  "frac_coords": [[0.250, 0.250, 0.250], [0.750, 0.750, 0.750], [0.000, 0.000, 0.000], [0.500, 0.500, 0.500], [0.246, 0.246, 0.754], [0.246, 0.754, 0.246], [0.246, 0.754, 0.754], [0.754, 0.246, 0.246], [0.754, 0.246, 0.754], [0.754, 0.754, 0.246]]
}

# 3
{
  "formula": "ThSiS",
  "functional": "meta-GGA r2SCAN",
  "state": "optimized geometry",
  "crystal_system": "tetragonal",
  "lattice_angstrom": [[3.913, 0.000, 0.000], [0.000, 3.913, 0.000], [0.000, 0.000, 17.201]],
  "species": ["Th", "Th", "Th", "Th", "Si", "Si", "Si", "Si", "S", "S", "S", "S"],
  "frac_coords": [[0.000, 0.000, 0.137], [0.000, 0.000, 0.863], [0.500, 0.500, 0.363], [0.500, 0.500, 0.637], [0.000, 0.500, 0.000], [0.000, 0.500, 0.500], [0.500, 0.000, 0.000], [0.500, 0.000, 0.500], [0.000, 0.000, 0.312], [0.000, 0.000, 0.688], [0.500, 0.500, 0.188], [0.500, 0.500, 0.812]]
}

# 4
{
  "formula": "Sm3Sc",
  "functional": "meta-GGA r2SCAN",
  "state": "optimized geometry",
  "relative_energy_ev_per_atom": 0.024,
  "crystal_system": "tetragonal",
  "lattice_angstrom": [[5.045, 0.000, 0.000], [0.000, 5.045, 0.000], [0.000, 0.000, 9.859]],
  "species": ["Sm", "Sm", "Sm", "Sm", "Sm", "Sm", "Sc", "Sc"],
  "frac_coords": [[0.000, 0.000, 0.000], [0.000, 0.500, 0.250], [0.000, 0.500, 0.750], [0.500, 0.000, 0.250], [0.500, 0.000, 0.750], [0.500, 0.500, 0.500], [0.000, 0.000, 0.500], [0.500, 0.500, 0.000]]
}

# 5
{
  "formula": "SbAsO4",
  "functional": "meta-GGA r2SCAN",
  "state": "optimized geometry",
  "crystal_system": "monoclinic",
  "lattice_angstrom": [[4.802, 0.000, 0.000], [0.000, 6.977, 0.000], [-0.458, 0.000, 5.377]],
  "species": ["Sb", "Sb", "As", "As", "O", "O", "O", "O", "O", "O", "O", "O"],
  "frac_coords": [[0.196, 0.250, 0.177], [0.804, 0.750, 0.823], [0.285, 0.750, 0.393], [0.715, 0.250, 0.607], [0.181, 0.750, 0.690], [0.182, 0.560, 0.218], [0.182, 0.940, 0.218], [0.360, 0.250, 0.539], [0.640, 0.750, 0.461], [0.818, 0.060, 0.782], [0.818, 0.440, 0.782], [0.819, 0.250, 0.310]]
}

# 6
{
  "formula": "Ca2TlSn",
  "functional": "meta-GGA r2SCAN",
  "state": "optimized geometry",
  "crystal_system": "cubic",
  "lattice_angstrom": [[7.721, 0.000, 0.000], [0.000, 7.721, 0.000], [0.000, 0.000, 7.721]],
  "species": ["Ca", "Ca", "Ca", "Ca", "Ca", "Ca", "Ca", "Ca", "Tl", "Tl", "Tl", "Tl", "Sn", "Sn", "Sn", "Sn"],
  "frac_coords": [[0.250, 0.250, 0.250], [0.250, 0.250, 0.750], [0.250, 0.750, 0.250], [0.250, 0.750, 0.750], [0.750, 0.250, 0.250], [0.750, 0.250, 0.750], [0.750, 0.750, 0.250], [0.750, 0.750, 0.750], [0.000, 0.000, 0.000], [0.000, 0.500, 0.500], [0.500, 0.000, 0.500], [0.500, 0.500, 0.000], [0.000, 0.000, 0.500], [0.000, 0.500, 0.000], [0.500, 0.000, 0.000], [0.500, 0.500, 0.500]]
}

# 7
{
  "formula": "Zr2V3Fe",
  "functional": "meta-GGA r2SCAN",
  "state": "optimized geometry",
  "crystal_system": "trigonal",
  "lattice_angstrom": [[2.633, 1.520, 4.037], [-2.633, 1.520, 4.037], [0.000, -3.040, 4.037]],
  "species": ["Zr", "Zr", "V", "V", "V", "Fe"],
  "frac_coords": [[0.126, 0.126, 0.126], [0.874, 0.874, 0.874], [0.000, 0.500, 0.500], [0.500, 0.000, 0.500], [0.500, 0.500, 0.000], [0.500, 0.500, 0.500]]
}

# 8
{
  "formula": "V4O3F9",
  "functional": "meta-GGA r2SCAN",
  "state": "optimized geometry",
  "relative_energy_ev_per_atom": 0.001,
  "crystal_system": "triclinic",
  "lattice_angstrom": [[5.081, 0.000, 0.000], [2.520, 4.634, 0.000], [0.069, 2.905, 8.471]],
  "species": ["V", "V", "V", "V", "O", "O", "O", "F", "F", "F", "F", "F", "F", "F", "F", "F"],
  "frac_coords": [[0.000, 0.000, 0.000], [0.224, 0.486, 0.750], [0.532, 0.978, 0.506], [0.770, 0.515, 0.249], [0.103, 0.246, 0.839], [0.898, 0.747, 0.585], [0.899, 0.749, 0.165], [0.018, 0.760, 0.873], [0.083, 0.248, 0.427], [0.394, 0.765, 0.671], [0.420, 0.727, 0.081], [0.472, 0.264, 0.619], [0.515, 0.746, 0.376], [0.581, 0.247, 0.326], [0.583, 0.272, 0.918], [0.984, 0.230, 0.134]]
}

# 9
{
  "formula": "Ac2ZnAu",
  "functional": "meta-GGA r2SCAN",
  "state": "optimized geometry",
  "crystal_system": "cubic",
  "lattice_angstrom": [[7.802, 0.000, 0.000], [0.000, 7.802, 0.000], [0.000, 0.000, 7.802]],
  "species": ["Ac", "Ac", "Ac", "Ac", "Ac", "Ac", "Ac", "Ac", "Zn", "Zn", "Zn", "Zn", "Au", "Au", "Au", "Au"],
  "frac_coords": [[0.250, 0.250, 0.250], [0.250, 0.250, 0.750], [0.250, 0.750, 0.250], [0.250, 0.750, 0.750], [0.750, 0.250, 0.250], [0.750, 0.250, 0.750], [0.750, 0.750, 0.250], [0.750, 0.750, 0.750], [0.000, 0.000, 0.000], [0.000, 0.500, 0.500], [0.500, 0.000, 0.500], [0.500, 0.500, 0.000], [0.000, 0.000, 0.500], [0.000, 0.500, 0.000], [0.500, 0.000, 0.000], [0.500, 0.500, 0.500]]
}

# 10
{
  "formula": "La2PBr2",
  "functional": "meta-GGA r2SCAN",
  "state": "optimized geometry",
  "crystal_system": "trigonal",
  "lattice_angstrom": [[4.270, 0.000, 0.000], [-2.135, 3.698, 0.000], [0.000, 0.000, 10.203]],
  "species": ["La", "La", "P", "Br", "Br"],
  "frac_coords": [[0.333, 0.667, 0.339], [0.667, 0.333, 0.661], [0.000, 0.000, 0.500], [0.333, 0.667, 0.844], [0.667, 0.333, 0.156]]
}

# 11
{
  "formula": "SiPb2Se4",
  "functional": "meta-GGA r2SCAN",
  "state": "optimized geometry",
  "crystal_system": "monoclinic",
  "lattice_angstrom": [[8.690, 0.000, 0.000], [0.000, 7.286, 0.000], [-4.287, 0.000, 13.169]],
  "species": ["Si", "Si", "Si", "Si", "Pb", "Pb", "Pb", "Pb", "Pb", "Pb", "Pb", "Pb", "Se", "Se", "Se", "Se", "Se", "Se", "Se", "Se", "Se", "Se", "Se", "Se", "Se", "Se", "Se", "Se"],
  "frac_coords": [[0.203, 0.247, 0.144], [0.203, 0.253, 0.644], [0.797, 0.747, 0.356], [0.797, 0.753, 0.856], [0.056, 0.147, 0.373], [0.056, 0.353, 0.873], [0.443, 0.641, 0.138], [0.443, 0.859, 0.638], [0.557, 0.141, 0.362], [0.557, 0.359, 0.862], [0.944, 0.647, 0.127], [0.944, 0.853, 0.627], [0.066, 0.735, 0.945], [0.066, 0.765, 0.445], [0.254, 0.519, 0.734], [0.254, 0.981, 0.234], [0.269, 0.023, 0.762], [0.269, 0.477, 0.262], [0.365, 0.225, 0.543], [0.365, 0.275, 0.043], [0.635, 0.725, 0.957], [0.635, 0.775, 0.457], [0.731, 0.523, 0.738], [0.731, 0.977, 0.238], [0.746, 0.019, 0.766], [0.746, 0.481, 0.266], [0.934, 0.235, 0.555], [0.934, 0.265, 0.055]]
}

# 12
{
  "formula": "Sb8Br2O11",
  "functional": "meta-GGA r2SCAN",
  "state": "optimized geometry",
  "crystal_system": "triclinic",
  "lattice_angstrom": [[10.639, 0.000, 0.000], [3.323, 10.837, 0.000], [3.233, 1.840, 13.516]],
  "species": ["Sb", "Sb", "Sb", "Sb", "Sb", "Sb", "Sb", "Sb", "Sb", "Sb", "Sb", "Sb", "Sb", "Sb", "Sb", "Sb", "Sb", "Sb", "Sb", "Sb", "Sb", "Sb", "Sb", "Sb", "Sb", "Sb", "Sb", "Sb", "Sb", "Sb", "Sb", "Sb", "Br", "Br", "Br", "Br", "Br", "Br", "Br", "Br", "O", "O", "O", "O", "O", "O", "O", "O", "O", "O", "O", "O", "O", "O", "O", "O", "O", "O", "O", "O", "O", "O", "O", "O", "O", "O", "O", "O", "O", "O", "O", "O", "O", "O", "O", "O", "O", "O", "O", "O", "O", "O", "O", "O"],
  "frac_coords": [[0.002, 0.103, 0.069], [0.007, 0.621, 0.187], [0.014, 0.613, 0.559], [0.025, 0.851, 0.311], [0.156, 0.417, 0.031], [0.157, 0.145, 0.316], [0.175, 0.910, 0.557], [0.186, 0.666, 0.792], [0.273, 0.381, 0.639], [0.291, 0.631, 0.392], [0.301, 0.867, 0.135], [0.305, 0.130, 0.863], [0.332, 0.399, 0.245], [0.336, 0.142, 0.492], [0.361, 0.886, 0.729], [0.363, 0.645, 0.974], [0.637, 0.355, 0.026], [0.639, 0.114, 0.271], [0.664, 0.858, 0.508], [0.668, 0.601, 0.755], [0.695, 0.870, 0.137], [0.699, 0.133, 0.865], [0.709, 0.369, 0.608], [0.727, 0.619, 0.361], [0.814, 0.334, 0.208], [0.825, 0.090, 0.443], [0.843, 0.855, 0.684], [0.844, 0.583, 0.969], [0.975, 0.149, 0.689], [0.986, 0.387, 0.441], [0.993, 0.379, 0.813], [0.998, 0.897, 0.931], [0.457, 0.171, 0.091], [0.472, 0.897, 0.347], [0.485, 0.372, 0.830], [0.491, 0.633, 0.588], [0.509, 0.367, 0.412], [0.515, 0.628, 0.170], [0.528, 0.103, 0.653], [0.543, 0.829, 0.909], [0.008, 0.997, 0.379], [0.011, 0.759, 0.858], [0.018, 0.735, 0.643], [0.027, 0.474, 0.910], [0.075, 0.468, 0.688], [0.091, 0.728, 0.431], [0.103, 0.973, 0.160], [0.160, 0.139, 0.980], [0.178, 0.095, 0.458], [0.178, 0.451, 0.169], [0.201, 0.283, 0.789], [0.206, 0.829, 0.701], [0.209, 0.574, 0.969], [0.212, 0.539, 0.531], [0.217, 0.270, 0.572], [0.224, 0.533, 0.323], [0.225, 0.797, 0.271], [0.240, 0.013, 0.809], [0.244, 0.768, 0.059], [0.254, 0.269, 0.336], [0.290, 0.000, 0.599], [0.302, 0.740, 0.849], [0.698, 0.260, 0.151], [0.710, 0.000, 0.401], [0.746, 0.731, 0.664], [0.756, 0.232, 0.941], [0.760, 0.987, 0.191], [0.775, 0.203, 0.729], [0.776, 0.467, 0.677], [0.783, 0.730, 0.428], [0.788, 0.461, 0.469], [0.791, 0.426, 0.031], [0.794, 0.171, 0.299], [0.799, 0.717, 0.211], [0.822, 0.549, 0.831], [0.822, 0.905, 0.542], [0.840, 0.861, 0.020], [0.897, 0.027, 0.840], [0.909, 0.272, 0.569], [0.925, 0.532, 0.312], [0.973, 0.526, 0.090], [0.982, 0.265, 0.357], [0.989, 0.241, 0.142], [0.992, 0.003, 0.621]]
}

Formation energy from the elements (computed, meV/atom): -566, -2950, -1493, 58, -1388, -605, -56, -3043, -542, -2090, -627, -1382